[1]
{"formula": "In3P2O8", "functional": "PBE", "state": "relaxed", "corrected_energy_ev_per_fu": -88.5, "e_form_ev_per_atom": -2.297, "vol_a3_per_cell": 727, "crystal_system": "cubic", "lattice_angstrom": [[-5.664, 5.664, 5.664], [5.664, -5.664, 5.664], [5.664, 5.664, -5.664]], "species": ["In", "In", "In", "In", "In", "In", "In", "In", "In", "In", "In", "In", "P", "P", "P", "P", "P", "P", "P", "P", "O", "O", "O", "O", "O", "O", "O", "O", "O", "O", "O", "O", "O", "O", "O", "O", "O", "O", "O", "O", "O", "O", "O", "O", "O", "O", "O", "O", "O", "O", "O", "O"], "frac_coords": [[0.750, 0.494, 0.744], [0.750, 0.256, 0.506], [0.244, 0.994, 0.250], [0.744, 0.750, 0.494], [0.250, 0.244, 0.994], [0.756, 0.250, 0.006], [0.494, 0.744, 0.750], [0.256, 0.506, 0.750], [0.994, 0.250, 0.244], [0.250, 0.006, 0.756], [0.506, 0.750, 0.256], [0.006, 0.756, 0.250], [0.500, 0.000, 0.092], [0.908, 0.908, 0.908], [0.000, 0.092, 0.500], [0.000, 0.592, 0.500], [0.500, 0.000, 0.592], [0.092, 0.500, 0.000], [0.592, 0.500, 0.000], [0.408, 0.408, 0.408], [0.664, 0.156, 0.746], [0.569, 0.569, 0.569], [0.410, 0.254, 0.418], [0.000, 0.431, 0.500], [0.844, 0.090, 0.508], [0.164, 0.246, 0.656], [0.508, 0.844, 0.090], [0.656, 0.164, 0.246], [0.754, 0.910, 0.918], [0.500, 0.000, 0.431], [0.090, 0.508, 0.844], [0.500, 0.000, 0.931], [0.344, 0.008, 0.590], [0.246, 0.656, 0.164], [0.008, 0.590, 0.344], [0.431, 0.500, 0.000], [0.082, 0.336, 0.992], [0.931, 0.500, 0.000], [0.918, 0.754, 0.910], [0.910, 0.918, 0.754], [0.156, 0.746, 0.664], [0.336, 0.992, 0.082], [0.746, 0.664, 0.156], [0.069, 0.069, 0.069], [0.418, 0.410, 0.254], [0.590, 0.344, 0.008], [0.492, 0.836, 0.582], [0.254, 0.418, 0.410], [0.000, 0.931, 0.500], [0.992, 0.082, 0.336], [0.836, 0.582, 0.492], [0.582, 0.492, 0.836]]}

[2]
{"formula": "InP3O9", "functional": "PBE", "state": "relaxed", "corrected_energy_ev_per_fu": -96.6, "e_form_ev_per_atom": -2.545, "vol_a3_per_cell": 361, "crystal_system": "monoclinic", "lattice_angstrom": [[-2.954, -6.803, 1.934], [0.192, -6.559, -3.962], [5.545, -7.686, 2.640]], "species": ["O", "O", "O", "O", "O", "O", "O", "O", "O", "O", "O", "O", "O", "O", "O", "O", "O", "O", "P", "P", "P", "P", "P", "P", "In", "In"], "frac_coords": [[0.670, 0.521, 0.096], [0.330, 0.094, 0.337], [0.521, 0.670, 0.596], [0.640, 0.956, 0.662], [0.391, 0.389, 0.388], [0.726, 0.250, 0.631], [0.913, 0.050, 0.019], [0.767, 0.395, 0.788], [0.250, 0.726, 0.131], [0.395, 0.767, 0.288], [0.389, 0.391, 0.888], [0.063, 0.171, 0.212], [0.956, 0.640, 0.162], [0.094, 0.330, 0.837], [0.873, 0.840, 0.835], [0.050, 0.913, 0.519], [0.840, 0.873, 0.335], [0.171, 0.063, 0.712], [0.979, 0.812, 0.172], [0.437, 0.581, 0.230], [0.206, 0.006, 0.332], [0.812, 0.979, 0.672], [0.581, 0.437, 0.730], [0.006, 0.206, 0.832], [0.489, 0.015, 0.501], [0.015, 0.489, 0.001]]}

[3]
{"formula": "In2P6O19", "functional": "PBE", "state": "relaxed", "corrected_energy_ev_per_fu": -196.6, "e_form_ev_per_atom": -2.394, "vol_a3_per_cell": 788, "crystal_system": "orthorhombic", "lattice_angstrom": [[-3.634, 0.540, 3.555], [6.524, -5.951, 7.573], [5.625, 11.299, 4.034]], "species": ["P", "P", "P", "P", "P", "P", "P", "P", "P", "P", "P", "P", "O", "O", "O", "O", "O", "O", "O", "O", "O", "O", "O", "O", "O", "O", "O", "O", "O", "O", "O", "O", "O", "O", "O", "O", "O", "O", "O", "O", "O", "O", "O", "O", "O", "O", "O", "O", "O", "O", "In", "In", "In", "In"], "frac_coords": [[0.496, 0.872, 0.387], [0.059, 0.000, 0.113], [0.496, 0.128, 0.613], [0.504, 0.372, 0.887], [0.504, 0.628, 0.887], [0.504, 0.628, 0.113], [0.941, 0.500, 0.387], [0.496, 0.872, 0.613], [0.496, 0.128, 0.387], [0.941, 0.500, 0.613], [0.504, 0.372, 0.113], [0.059, 0.000, 0.887], [0.156, 0.889, 0.160], [0.272, 0.210, 0.628], [0.272, 0.368, 0.818], [0.272, 0.632, 0.182], [0.272, 0.210, 0.372], [0.728, 0.290, 0.872], [0.392, 0.359, 0.000], [0.728, 0.132, 0.682], [0.757, 0.000, 0.885], [0.608, 0.141, 0.500], [0.728, 0.868, 0.682], [0.172, 0.000, 0.000], [0.828, 0.500, 0.500], [0.728, 0.132, 0.318], [0.156, 0.111, 0.160], [0.626, 0.500, 0.885], [0.844, 0.611, 0.660], [0.728, 0.710, 0.872], [0.272, 0.632, 0.818], [0.844, 0.389, 0.340], [0.728, 0.290, 0.128], [0.156, 0.889, 0.840], [0.374, 0.000, 0.615], [0.272, 0.790, 0.372], [0.243, 0.500, 0.385], [0.728, 0.710, 0.128], [0.728, 0.868, 0.318], [0.392, 0.641, 0.000], [0.243, 0.500, 0.615], [0.844, 0.611, 0.340], [0.608, 0.859, 0.500], [0.844, 0.389, 0.660], [0.757, 0.000, 0.115], [0.626, 0.500, 0.115], [0.374, 0.000, 0.385], [0.272, 0.790, 0.628], [0.156, 0.111, 0.840], [0.272, 0.368, 0.182], [0.000, 0.750, 0.250], [0.000, 0.250, 0.250], [0.000, 0.250, 0.750], [0.000, 0.750, 0.750]]}

[4]
{"formula": "InPO4", "functional": "PBE", "state": "relaxed", "corrected_energy_ev_per_fu": -42.8, "e_form_ev_per_atom": -2.470, "vol_a3_per_cell": 310, "crystal_system": "orthorhombic", "lattice_angstrom": [[-3.308, 2.619, -2.463], [3.056, -1.838, -6.058], [-5.354, -7.236, -0.505]], "species": ["P", "P", "P", "P", "O", "O", "O", "O", "O", "O", "O", "O", "O", "O", "O", "O", "O", "O", "O", "O", "In", "In", "In", "In"], "frac_coords": [[0.982, 0.750, 0.676], [0.518, 0.750, 0.176], [0.018, 0.250, 0.324], [0.482, 0.250, 0.824], [0.347, 0.065, 0.875], [0.847, 0.935, 0.625], [0.653, 0.935, 0.125], [0.653, 0.565, 0.125], [0.847, 0.565, 0.625], [0.537, 0.750, 0.352], [0.788, 0.250, 0.878], [0.153, 0.065, 0.375], [0.212, 0.750, 0.122], [0.153, 0.435, 0.375], [0.347, 0.435, 0.875], [0.963, 0.750, 0.852], [0.712, 0.250, 0.378], [0.463, 0.250, 0.648], [0.037, 0.250, 0.148], [0.288, 0.750, 0.622], [0.000, 0.500, 0.000], [0.000, 0.000, 0.000], [0.500, 0.000, 0.500], [0.500, 0.500, 0.500]]}